A relaxed structure of LaGdTl2, computed with PBE.

Values from the calculation:
Final energy (eV/atom): -6.34
Crystal system: cubic
SG: Fm-3m, No. 225

Unit cell a=5.556 b=5.556 c=5.556 alpha=60.00 beta=60.00 gamma=60.00
Sites, in units of the cell vectors:
1 Tl 0.750 0.750 0.750
2 Gd 0.500 0.500 0.500
3 La 0.000 0.000 0.000
4 Tl 0.250 0.250 0.250

***

A relaxed structure of Li3Gd, computed with PBE.

Values from the calculation:
Final energy (eV/atom): -4.79
Crystal system: hexagonal
SG: P6_3/mmc, No. 194

Unit cell a=6.419 b=6.419 c=5.040 alpha=90.00 beta=90.00 gamma=120.00
Sites, in units of the cell vectors:
1 Li 0.299 0.150 0.750
2 Li 0.701 0.850 0.250
3 Li 0.850 0.701 0.750
4 Gd 0.667 0.333 0.250
5 Li 0.150 0.850 0.250
6 Li 0.850 0.150 0.750
7 Li 0.150 0.299 0.250
8 Gd 0.333 0.667 0.750

***

A relaxed structure of LiGdS2O8, computed with PBE.

Values from the calculation:
Final energy (eV/atom): -7.25
Crystal system: tetragonal
Corrected total energy (MP2020 scheme) (eV/atom): -7.7106
SG: P-4n2, No. 118

Unit cell a=7.651 b=7.651 c=5.971 alpha=90.00 beta=90.00 gamma=90.00
Sites, in units of the cell vectors:
1 O 0.817 0.588 0.930
2 S 0.279 0.779 0.250
3 O 0.206 0.100 0.844
4 Gd 0.500 0.000 0.750
5 O 0.088 0.317 0.570
6 S 0.779 0.721 0.750
7 O 0.588 0.183 0.070
8 Li 0.500 0.000 0.250
9 O 0.706 0.400 0.344
10 Gd 0.000 0.500 0.250
11 O 0.400 0.294 0.656
12 S 0.721 0.221 0.250
13 S 0.221 0.279 0.750
14 O 0.600 0.706 0.656
15 O 0.412 0.817 0.070
16 O 0.183 0.412 0.930
17 O 0.683 0.088 0.430
18 O 0.100 0.794 0.156
19 O 0.317 0.912 0.430
20 O 0.794 0.900 0.844
21 O 0.900 0.206 0.156
22 O 0.294 0.600 0.344
23 O 0.912 0.683 0.570
24 Li 0.000 0.500 0.750

***

Ordered DFT formation energy results: -0.403; 0.163; -2.390; unit eV per atom.